6
Lattice="-8.3541 4.4352 -1.6785 5.9818 -7.3134 1.7358 -0.7772 0.7574 5.8691" Properties=species:S:1:pos:R:3 comment="La5Mg, relaxed, DFT GGA-PBE" polymorph_energy_mev_per_atom=22 pbc="T T T"
La 3.8498 -5.5059 4.2551
La -3.5901 0.5310 -0.5439
La -8.2759 4.3712 -1.6599
La -0.7637 -1.7251 3.1564
La 1.2999 -3.4764 0.6207
Mg -5.5813 2.2231 2.0090

54
Lattice="-6.8615 -5.9113 5.7374 1.7023 -8.3233 -6.5397 8.0600 -3.2744 6.2655" Properties=species:S:1:pos:R:3 comment="Ge19As4Br4, relaxed, DFT GGA-PBE" e_tot_ev_per_atom=-4.341 pbc="T T T"
Br 6.8962 -6.6174 1.4293
Br 0.0000 0.0000 0.0000
Br -2.1540 -9.1981 -2.0361
Br -3.0052 -5.0365 1.2338
Br 2.3146 -3.1150 4.5671
Br -1.1161 -6.0707 7.4358
Br 2.8662 -4.9802 -1.7035
Br 1.4504 -8.7545 2.7316
Ge 3.3610 -5.9422 1.7086
Ge 4.9937 -4.7378 7.2963
Ge 1.8542 -6.5712 5.5022
Ge -1.8467 -8.4486 1.4505
Ge 4.0788 -15.2785 2.9646
Ge 2.6143 -5.4115 7.5678
Ge 3.1619 -14.2322 6.8049
Ge 3.9864 -8.3738 -3.8219
Ge 1.6106 -8.4802 -3.1649
Ge 4.4556 -3.7180 1.4978
Ge -1.4158 -3.7743 4.4351
Ge 4.4760 -9.7894 1.6375
Ge 3.1400 -10.4454 5.3569
Ge -0.9555 -10.7493 1.4453
Ge -0.2457 -7.0319 0.1312
Ge -5.5151 -7.8033 3.0516
Ge -0.8642 -5.6395 -1.8355
Ge -4.2950 -8.5951 1.0332
Ge 5.7497 -3.2464 3.5696
Ge 7.7682 -6.5388 4.9000
Ge -0.0080 -5.7815 4.0124
Ge 2.9350 -11.7050 1.4289
Ge 0.2179 -15.5085 4.2776
Ge 5.6541 -5.2692 4.9792
Ge -3.7887 -4.4797 4.6817
Ge -4.1524 -7.8893 6.9012
Ge 3.7906 -7.9047 0.2003
Ge 0.5179 -10.5220 -4.0161
Ge 1.0205 -10.9604 -0.0171
Ge 0.9225 -5.5678 1.7373
Ge 0.3866 -6.4438 -3.8300
Ge -0.4909 -11.5543 3.7308
Ge 5.3068 -7.8797 -1.7720
Ge 1.3587 -8.9115 6.1064
Ge 4.7541 -9.0922 3.9878
Ge -0.8590 -9.6168 5.2868
Ge -3.8359 -6.9463 4.6433
Ge 2.3729 -14.3224 4.4689
As 6.6964 -10.5489 0.8345
As 0.5350 -3.2293 1.0076
As 1.9854 -11.9838 3.7392
As 3.8885 -6.7331 4.0352
As 1.5433 -8.5954 -0.6883
As -2.7211 -12.2132 0.5013
As 1.2914 -9.0267 8.5830
As -1.6156 -7.7058 3.8404

20
Lattice="-0.9561 3.5647 -1.6457 -3.8125 -1.2644 -0.4422 -3.5738 5.7183 14.4619" Properties=species:S:1:pos:R:3 comment="NaNbO3, relaxed, DFT GGA-PBE" e_tot_ev_per_atom=-7.651 pbc="T T T"
O -4.1351 2.9875 8.8013
O -1.8898 4.9261 1.9867
O 0.0000 0.0000 0.0000
O -3.3141 3.6018 -0.0418
O -1.7869 2.8591 7.2310
O -5.0283 4.4167 12.4158
O -0.9641 2.4682 0.9871
O -4.2073 5.0310 3.5728
O -1.8574 3.8974 4.6017
O -7.3782 5.5503 11.3869
O -6.4850 4.1211 7.7723
O -6.4525 3.0925 10.3873
Nb -3.2625 7.0173 7.4257
Nb -4.1875 -0.4266 1.3374
Nb -5.0799 1.0012 4.9483
Nb -4.1548 8.4451 11.0366
Na -2.3843 1.1501 -1.0440
Na -3.1456 2.8031 2.5158
Na -5.1968 5.2154 9.8582
Na -4.1712 4.0093 6.1870

105
Lattice="8.7205 0.0004 0.0010 -4.3599 7.5408 -0.0037 0.0020 -0.0089 22.6951" Properties=species:S:1:pos:R:3 comment="Na3Ta4Zn8P3S15O72, relaxed, DFT GGA-PBE" e_tot_ev_per_atom=-6.412 pbc="T T T"
O 3.6966 1.0085 20.9489
O -0.9851 3.6228 19.5666
O 5.3641 1.2254 16.8841
O 1.0530 6.3154 17.0763
O 6.1502 2.8315 14.4343
O 1.0333 3.6630 8.2350
O 4.9601 4.1454 0.5967
O 3.7836 0.8344 14.4934
O -1.5612 4.7617 1.6539
O 4.9840 1.0121 3.1002
O 6.0049 2.6978 20.8934
O -0.7046 6.5997 19.5812
O 5.1050 6.1493 2.0641
O 3.2234 3.9049 14.4379
O 3.7587 5.8309 6.8893
O -1.6494 5.2749 17.0743
O -0.7436 3.5554 5.8386
O 5.3350 3.7974 9.6512
O 2.7494 7.4298 15.8214
O 3.3645 3.7965 20.9359
O 1.0626 1.3504 18.2469
O 7.5743 1.3580 6.8837
O 2.7399 2.3303 16.8733
O -0.9051 6.4143 5.8370
O 5.9145 2.3402 5.4804
O 0.5937 1.5455 9.3867
O 1.6150 5.1324 22.0189
O 1.0186 3.7708 1.7011
O -3.4614 6.1880 15.8172
O 5.0072 5.9182 18.2383
O 1.7637 0.3232 6.8833
O 5.0273 1.0223 9.6056
O 1.5738 0.0976 13.5521
O 2.7343 7.2610 9.3801
O -2.6149 7.3727 4.4585
O 7.1538 0.1370 2.0639
O -0.6947 6.4331 12.9239
O 3.6252 6.1080 13.4972
O 5.3255 3.8031 3.0927
O 3.4284 1.2673 5.4560
O 3.7113 3.9165 5.4599
O -0.6968 3.5570 22.0066
O -0.7087 1.5993 4.4638
O 6.1437 2.2242 12.0415
O 1.6422 5.1074 5.8557
O 0.9247 1.3807 2.0752
O 3.1970 1.1729 11.9897
O -2.7423 7.2630 20.7888
O 2.6962 2.7427 3.0670
O 2.6190 2.2874 0.6503
O -0.8686 3.6719 12.9780
O 0.7129 1.4485 15.8294
O 7.0170 0.2200 18.2490
O -0.5679 1.5224 20.7843
O -3.3165 6.2423 9.3916
O 3.3272 6.2490 20.7939
O 0.5796 3.4671 17.0799
O 2.7418 2.7295 9.5900
O 5.4104 1.1484 0.5885
O 7.8213 1.3282 13.4988
O 0.9146 6.3705 10.6515
O 3.7445 4.2145 12.0444
O 1.7244 4.8448 19.5762
O 0.5963 6.4865 1.6631
O 0.6569 6.6157 8.2381
O 4.9872 3.9940 16.8225
O -1.7216 4.7775 8.2432
O -0.9154 6.3538 22.0191
O 0.7178 3.5710 10.6567
O 1.6087 4.9104 12.9797
O 3.3061 6.0993 4.4768
O -1.6200 5.1274 10.6596
Na 4.3725 2.5050 18.9317
Na 4.3149 7.4918 0.0626
Na 4.3336 2.5133 7.7184
S 6.1851 0.0115 17.0619
S -1.8233 7.5362 5.6707
S 3.0860 4.7137 13.2374
S 1.2768 7.2359 9.3981
S 5.6165 5.3034 17.0607
S -2.5613 4.9952 9.4114
S 6.9125 2.5115 13.2365
S -1.2547 2.8354 20.7687
S -1.2655 7.2218 20.7761
S 1.8323 2.4941 1.8491
S 3.0736 5.3269 5.6899
S 2.5311 4.9992 20.7860
S 1.2883 2.1950 17.0766
S -1.2375 2.1946 5.6812
S 1.2778 2.8355 9.4095
P 5.6847 0.3530 1.8254
P 5.5756 4.7402 1.8253
P 3.1117 0.3461 13.2400
Ta -0.0232 5.0577 0.5337
Ta 0.0427 -0.0047 14.7050
Ta -0.0174 5.0582 11.7643
Ta 4.4167 2.4990 4.2062
Zn 0.0036 5.0285 7.0725
Zn 4.3492 2.4259 15.4961
Zn 0.0147 5.0259 18.3936
Zn 4.2957 2.4556 10.9914
Zn 0.0202 -0.0027 8.0406
Zn 4.3269 7.4667 3.3809
Zn 4.3372 7.5310 19.3823
Zn 4.4335 2.5266 22.3109